A relaxed structure of Y2Cu3Si3O12. Source: the Materials Project, functional PBE-GGA.

Geometry as POSCAR:
```
Y2Cu3Si3O12
1.0
-6.216 6.216 6.216
6.216 -6.216 6.216
6.216 6.216 -6.216
Y Cu Si O
8 12 12 48
direct
0.000 0.000 0.000
0.000 0.000 0.500
0.000 0.500 0.000
0.000 0.500 0.500
0.500 0.000 0.000
0.500 0.000 0.500
0.500 0.500 0.000
0.500 0.500 0.500
0.125 0.250 0.375
0.125 0.375 0.750
0.250 0.375 0.125
0.250 0.875 0.625
0.375 0.125 0.250
0.375 0.750 0.125
0.625 0.250 0.875
0.625 0.875 0.750
0.750 0.125 0.375
0.750 0.625 0.875
0.875 0.625 0.250
0.875 0.750 0.625
0.125 0.750 0.875
0.125 0.875 0.250
0.250 0.125 0.875
0.250 0.625 0.375
0.375 0.250 0.625
0.375 0.625 0.750
0.625 0.375 0.250
0.625 0.750 0.375
0.750 0.375 0.625
0.750 0.875 0.125
0.875 0.125 0.750
0.875 0.250 0.125
0.019 0.223 0.130
0.019 0.296 0.889
0.093 0.723 0.704
0.093 0.870 0.389
0.111 0.630 0.407
0.111 0.981 0.704
0.130 0.019 0.223
0.130 0.611 0.907
0.204 0.223 0.593
0.204 0.481 0.611
0.223 0.130 0.019
0.223 0.593 0.204
0.277 0.296 0.907
0.277 0.481 0.370
0.296 0.889 0.019
0.296 0.907 0.277
0.370 0.277 0.481
0.370 0.593 0.889
0.389 0.093 0.870
0.389 0.796 0.519
0.407 0.111 0.630
0.407 0.796 0.777
0.481 0.370 0.277
0.481 0.611 0.204
0.519 0.389 0.796
0.519 0.630 0.723
0.593 0.204 0.223
0.593 0.889 0.370
0.611 0.204 0.481
0.611 0.907 0.130
0.630 0.407 0.111
0.630 0.723 0.519
0.704 0.093 0.723
0.704 0.111 0.981
0.723 0.519 0.630
0.723 0.704 0.093
0.777 0.407 0.796
0.777 0.870 0.981
0.796 0.519 0.389
0.796 0.777 0.407
0.870 0.389 0.093
0.870 0.981 0.777
0.889 0.019 0.296
0.889 0.370 0.593
0.907 0.130 0.611
0.907 0.277 0.296
0.981 0.704 0.111
0.981 0.777 0.870
```

energy with MP2020 corrections: -7.523 eV/atom
raw total energy: -0.261 hartree per atom
magnetization: 11.91 Bohr magnetons per cell
calculated formation energy: -2.4792 eV per atom
space group: No. 230